[1]
## Cs2NaGaBr6 (PBE)

Data for crystalline Cs2NaGaBr6 at its relaxed geometry.

The structure in CIF format:
```
data_Cs2NaGaBr6
_space_group_name_H-M_alt 'P 1'
_space_group_IT_number 1
_cell_length_a 7.885
_cell_length_b 7.885
_cell_length_c 7.885
_cell_angle_alpha 60.00
_cell_angle_beta 60.00
_cell_angle_gamma 60.00
loop_
_space_group_symop_operation_xyz
'x,y,z'
loop_
_atom_site_label
_atom_site_fract_x
_atom_site_fract_y
_atom_site_fract_z
_atom_site_occupancy
Cs1 0.250 0.250 0.250 1
Cs2 0.750 0.750 0.750 1
Na1 0.000 0.000 0.000 1
Ga1 0.500 0.500 0.500 1
Br1 0.268 0.268 0.732 1
Br2 0.268 0.732 0.268 1
Br3 0.268 0.732 0.732 1
Br4 0.732 0.268 0.268 1
Br5 0.732 0.268 0.732 1
Br6 0.732 0.732 0.268 1
```

Values from the calculation:
As for the space group: Fm-3m, No. 225. As for the calculated total energy: -29.5 eV per cell.

=====

[2]
## Cs2RbGaBr6 (PBE)

Data for crystalline Cs2RbGaBr6 at its relaxed geometry.

The structure in CIF format:
```
data_Cs2RbGaBr6
_space_group_name_H-M_alt 'P 1'
_space_group_IT_number 1
_cell_length_a 8.280
_cell_length_b 8.280
_cell_length_c 8.280
_cell_angle_alpha 60.00
_cell_angle_beta 60.00
_cell_angle_gamma 60.00
loop_
_space_group_symop_operation_xyz
'x,y,z'
loop_
_atom_site_label
_atom_site_fract_x
_atom_site_fract_y
_atom_site_fract_z
_atom_site_occupancy
Cs1 0.250 0.250 0.250 1
Cs2 0.750 0.750 0.750 1
Rb1 0.000 0.000 0.000 1
Ga1 0.500 0.500 0.500 1
Br1 0.280 0.280 0.720 1
Br2 0.280 0.720 0.280 1
Br3 0.280 0.720 0.720 1
Br4 0.720 0.280 0.280 1
Br5 0.720 0.280 0.720 1
Br6 0.720 0.720 0.280 1
```

Values from the calculation:
As for the space group: Fm-3m, No. 225. As for the calculated total energy: -29.4 eV per cell.

=====

[3]
## Cs2TlGaBr6 (PBE)

Data for crystalline Cs2TlGaBr6 at its relaxed geometry.

The structure in CIF format:
```
data_Cs2TlGaBr6
_space_group_name_H-M_alt 'P 1'
_space_group_IT_number 1
_cell_length_a 8.164
_cell_length_b 8.164
_cell_length_c 8.164
_cell_angle_alpha 60.00
_cell_angle_beta 60.00
_cell_angle_gamma 60.00
loop_
_space_group_symop_operation_xyz
'x,y,z'
loop_
_atom_site_label
_atom_site_fract_x
_atom_site_fract_y
_atom_site_fract_z
_atom_site_occupancy
Cs1 0.250 0.250 0.250 1
Cs2 0.750 0.750 0.750 1
Tl1 0.000 0.000 0.000 1
Ga1 0.500 0.500 0.500 1
Br1 0.276 0.276 0.724 1
Br2 0.276 0.724 0.276 1
Br3 0.276 0.724 0.724 1
Br4 0.724 0.276 0.276 1
Br5 0.724 0.276 0.724 1
Br6 0.724 0.724 0.276 1
```

Values from the calculation:
As for the space group: Fm-3m, No. 225. As for the calculated total energy: -29.2 eV per cell.

=====

[4]
## CsGeBr3 (PBE)

Data for crystalline CsGeBr3 at its relaxed geometry.

The structure in CIF format:
```
data_CsGeBr3
_space_group_name_H-M_alt 'P 1'
_space_group_IT_number 1
_cell_length_a 5.704
_cell_length_b 5.704
_cell_length_c 5.704
_cell_angle_alpha 89.07
_cell_angle_beta 89.07
_cell_angle_gamma 89.07
loop_
_space_group_symop_operation_xyz
'x,y,z'
loop_
_atom_site_label
_atom_site_fract_x
_atom_site_fract_y
_atom_site_fract_z
_atom_site_occupancy
Cs1 0.000 0.000 0.000 1
Ge1 0.481 0.481 0.481 1
Br1 0.025 0.506 0.506 1
Br2 0.506 0.025 0.506 1
Br3 0.506 0.506 0.025 1
```

Values from the calculation:
As for the space group: R3m, No. 160. As for the calculated total energy: -16.1 eV per cell.

=====

[5]
## CsGeBr3 (PBE)

Data for crystalline CsGeBr3 at its relaxed geometry.

The structure in CIF format:
```
data_CsGeBr3
_space_group_name_H-M_alt 'P 1'
_space_group_IT_number 1
_cell_length_a 5.789
_cell_length_b 5.789
_cell_length_c 5.728
_cell_angle_alpha 91.80
_cell_angle_beta 91.80
_cell_angle_gamma 90.40
loop_
_space_group_symop_operation_xyz
'x,y,z'
loop_
_atom_site_label
_atom_site_fract_x
_atom_site_fract_y
_atom_site_fract_z
_atom_site_occupancy
Cs1 0.000 0.000 0.000 1
Ge1 0.470 0.470 0.536 1
Br1 0.026 0.485 0.509 1
Br2 0.485 0.026 0.509 1
Br3 0.510 0.510 0.985 1
```

Values from the calculation:
For the maximum piezoelectric response, the calculation gives 0.537 C/m². As for the space group: Cm, No. 8. As for the calculated total energy: -16.1 eV per cell.

=====

[6]
## CsGeBr3 (PBE)

Data for crystalline CsGeBr3 at its relaxed geometry.

The structure in CIF format:
```
data_CsGeBr3
_space_group_name_H-M_alt 'P 1'
_space_group_IT_number 1
_cell_length_a 5.613
_cell_length_b 5.613
_cell_length_c 5.613
_cell_angle_alpha 90.00
_cell_angle_beta 90.00
_cell_angle_gamma 90.00
loop_
_space_group_symop_operation_xyz
'x,y,z'
loop_
_atom_site_label
_atom_site_fract_x
_atom_site_fract_y
_atom_site_fract_z
_atom_site_occupancy
Cs1 0.000 0.000 0.000 1
Ge1 0.500 0.500 0.500 1
Br1 0.000 0.500 0.500 1
Br2 0.500 0.000 0.500 1
Br3 0.500 0.500 0.000 1
```

Values from the calculation:
As for the space group: Pm-3m, No. 221. As for the calculated total energy: -16.0 eV per cell.

=====

[7]
## Cs2Hg2H2I4Br2O (PBE)

Data for crystalline Cs2Hg2H2I4Br2O at its relaxed geometry.

The structure in CIF format:
```
data_Cs2Hg2H2I4Br2O
_space_group_name_H-M_alt 'P 1'
_space_group_IT_number 1
_cell_length_a 7.829
_cell_length_b 14.025
_cell_length_c 9.144
_cell_angle_alpha 90.00
_cell_angle_beta 93.02
_cell_angle_gamma 90.00
loop_
_space_group_symop_operation_xyz
'x,y,z'
loop_
_atom_site_label
_atom_site_fract_x
_atom_site_fract_y
_atom_site_fract_z
_atom_site_occupancy
Cs1 0.000 0.176 0.000 1
Cs2 0.000 0.824 0.500 1
Cs3 0.450 0.301 0.629 1
Cs4 0.450 0.699 0.129 1
Hg1 0.900 0.429 0.354 1
Hg2 0.900 0.571 0.854 1
Hg3 0.906 0.144 0.493 1
Hg4 0.906 0.856 0.993 1
H1 0.464 0.127 0.957 1
H2 0.464 0.873 0.457 1
H3 0.474 0.221 0.045 1
H4 0.474 0.779 0.545 1
I1 0.200 0.080 0.372 1
I2 0.200 0.920 0.872 1
I3 0.202 0.405 0.229 1
I4 0.202 0.595 0.729 1
I5 0.670 0.457 0.977 1
I6 0.670 0.543 0.477 1
I7 0.686 0.040 0.658 1
I8 0.686 0.960 0.158 1
Br1 0.706 0.256 0.289 1
Br2 0.706 0.744 0.789 1
Br3 0.979 0.311 0.654 1
Br4 0.979 0.689 0.154 1
O1 0.421 0.192 0.956 1
O2 0.421 0.808 0.456 1
```

Values from the calculation:
As for the space group: Pc, No. 7. As for the calculated total energy: -71.0 eV per cell.

=====

[8]
## CsHf2Br9 (PBE)

Data for crystalline CsHf2Br9 at its relaxed geometry.

The structure in CIF format:
```
data_CsHf2Br9
_space_group_name_H-M_alt 'P 1'
_space_group_IT_number 1
_cell_length_a 10.403
_cell_length_b 7.094
_cell_length_c 13.590
_cell_angle_alpha 90.00
_cell_angle_beta 114.05
_cell_angle_gamma 90.00
loop_
_space_group_symop_operation_xyz
'x,y,z'
loop_
_atom_site_label
_atom_site_fract_x
_atom_site_fract_y
_atom_site_fract_z
_atom_site_occupancy
Cs1 0.000 0.093 0.250 1
Cs2 0.000 0.907 0.750 1
Hf1 0.326 0.246 0.633 1
Hf2 0.326 0.754 0.133 1
Hf3 0.674 0.246 0.867 1
Hf4 0.674 0.754 0.367 1
Br1 0.116 0.392 0.654 1
Br2 0.116 0.608 0.154 1
Br3 0.209 0.067 0.058 1
Br4 0.209 0.933 0.558 1
Br5 0.296 0.399 0.458 1
Br6 0.296 0.601 0.958 1
Br7 0.416 0.098 0.840 1
Br8 0.416 0.902 0.340 1
Br9 0.500 0.469 0.250 1
Br10 0.500 0.531 0.750 1
Br11 0.584 0.098 0.660 1
Br12 0.584 0.902 0.160 1
Br13 0.704 0.399 0.042 1
Br14 0.704 0.601 0.542 1
Br15 0.791 0.067 0.442 1
Br16 0.791 0.933 0.942 1
Br17 0.884 0.392 0.846 1
Br18 0.884 0.608 0.346 1
```

Values from the calculation:
As for the space group: P2/c, No. 13. As for the calculated total energy: -107.8 eV per cell.